Entry 1:
VASP calculation (GGA-PBE) on crystalline LiCuO2 at its relaxed geometry.

Lattice parameters (Å, degrees): 2.968 2.968 5.090 90.00 90.00 120.00
Positions (direct):
Li 0.000 0.000 0.000
Cu 0.333 0.667 0.431
O 0.000 0.000 0.629
O 0.667 0.333 0.203

* energy: -19.90 eV/f.u.
* energy with MP2020 corrections: -5.3196 eV per atom
* space-group type: P3m1
* formation enthalpy at 0 K: -1.34 eV/atom

Entry 2:
VASP calculation (GGA-PBE) on crystalline DyAgS2 at its relaxed geometry.

Lattice parameters (Å, degrees): 7.645 7.636 12.714 90.00 90.09 90.00
Positions (direct):
Dy 0.002 0.000 0.246
Dy 0.247 0.246 0.503
Dy 0.254 0.748 0.003
Dy 0.498 0.992 0.747
Dy 0.502 0.492 0.253
Dy 0.746 0.248 0.997
Dy 0.753 0.746 0.497
Dy 0.998 0.500 0.754
Ag 0.002 0.996 0.697
Ag 0.246 0.246 0.031
Ag 0.255 0.745 0.528
Ag 0.499 0.995 0.210
Ag 0.501 0.495 0.790
Ag 0.745 0.245 0.472
Ag 0.754 0.746 0.969
Ag 0.998 0.496 0.303
S 0.019 0.016 0.029
S 0.024 0.520 0.536
S 0.228 0.226 0.721
S 0.228 0.269 0.287
S 0.272 0.723 0.787
S 0.272 0.766 0.222
S 0.476 0.473 0.036
S 0.480 0.976 0.529
S 0.520 0.476 0.471
S 0.524 0.973 0.964
S 0.728 0.223 0.213
S 0.728 0.266 0.778
S 0.772 0.726 0.279
S 0.772 0.769 0.713
S 0.976 0.020 0.464
S 0.981 0.516 0.971

* energy: -20.99 eV/f.u.
* energy with MP2020 corrections: -5.4984 eV per atom
* space-group type: P2_1
* formation enthalpy at 0 K: -1.57 eV/atom

Entry 3:
VASP calculation (GGA-PBE) on crystalline K3Cu3P2 at its relaxed geometry.

Lattice parameters (Å, degrees): 7.430 7.430 7.430 45.32 45.32 45.32
Positions (direct):
K 0.000 0.000 0.000
K 0.408 0.408 0.408
K 0.592 0.592 0.592
Cu 0.000 0.000 0.500
Cu 0.000 0.500 0.000
Cu 0.500 0.000 0.000
P 0.244 0.244 0.244
P 0.756 0.756 0.756

* energy: -29.09 eV/f.u.
* space-group type: R-3m
* formation enthalpy at 0 K: -0.33 eV/atom

Entry 4:
VASP calculation (GGA-PBE) on crystalline Be3Si3Sb2O12 at its relaxed geometry.

Lattice parameters (Å, degrees): 8.281 8.264 16.474 90.00 119.30 90.00
Positions (direct):
Be 0.014 0.164 0.097
Be 0.014 0.336 0.597
Be 0.308 0.165 0.421
Be 0.308 0.335 0.921
Be 0.329 0.652 0.257
Be 0.329 0.848 0.757
Be 0.671 0.152 0.243
Be 0.671 0.348 0.743
Be 0.692 0.665 0.079
Be 0.692 0.835 0.579
Be 0.986 0.664 0.403
Be 0.986 0.836 0.903
Si 0.024 0.710 0.594
Si 0.024 0.790 0.094
Si 0.307 0.717 0.915
Si 0.307 0.783 0.415
Si 0.326 0.228 0.759
Si 0.326 0.272 0.259
Si 0.674 0.728 0.741
Si 0.674 0.772 0.241
Si 0.693 0.217 0.585
Si 0.693 0.283 0.085
Si 0.976 0.210 0.906
Si 0.976 0.290 0.406
Sb 0.329 0.053 0.082
Sb 0.329 0.447 0.582
Sb 0.353 0.004 0.592
Sb 0.353 0.496 0.092
Sb 0.647 0.504 0.908
Sb 0.647 0.996 0.408
Sb 0.671 0.553 0.418
Sb 0.671 0.947 0.918
O 0.091 0.236 0.023
O 0.091 0.264 0.523
O 0.112 0.524 0.611
O 0.112 0.976 0.111
O 0.113 0.241 0.689
O 0.113 0.259 0.189
O 0.128 0.235 0.875
O 0.128 0.265 0.375
O 0.207 0.663 0.456
O 0.207 0.837 0.956
O 0.208 0.667 0.141
O 0.208 0.833 0.641
O 0.257 0.737 0.809
O 0.257 0.763 0.309
O 0.278 0.530 0.951
O 0.278 0.970 0.451
O 0.391 0.040 0.792
O 0.391 0.460 0.292
O 0.415 0.156 0.357
O 0.415 0.344 0.857
O 0.443 0.206 0.206
O 0.443 0.294 0.706
O 0.460 0.231 0.526
O 0.460 0.269 0.026
O 0.540 0.731 0.974
O 0.540 0.769 0.474
O 0.557 0.706 0.294
O 0.557 0.794 0.794
O 0.585 0.656 0.143
O 0.585 0.844 0.643
O 0.609 0.540 0.708
O 0.609 0.960 0.208
O 0.722 0.030 0.549
O 0.722 0.470 0.049
O 0.743 0.237 0.691
O 0.743 0.263 0.191
O 0.792 0.167 0.359
O 0.792 0.333 0.859
O 0.793 0.163 0.044
O 0.793 0.337 0.544
O 0.872 0.735 0.625
O 0.872 0.765 0.125
O 0.887 0.741 0.811
O 0.887 0.759 0.311
O 0.888 0.024 0.889
O 0.888 0.476 0.389
O 0.909 0.736 0.477
O 0.909 0.764 0.977

* energy: -140.70 eV/f.u.
* energy with MP2020 corrections: -7.4473 eV per atom
* space-group type: P2_1/c
* formation enthalpy at 0 K: -2.69 eV/atom

Entry 5:
VASP calculation (GGA-PBE) on crystalline CsZr2AlP4O16 at its relaxed geometry.

Lattice parameters (Å, degrees): 8.865 9.552 18.276 90.00 90.00 90.00
Positions (direct):
Cs 0.153 0.250 0.250
Cs 0.153 0.250 0.750
Cs 0.847 0.750 0.250
Cs 0.847 0.750 0.750
Zr 0.251 0.531 0.071
Zr 0.251 0.531 0.429
Zr 0.251 0.969 0.571
Zr 0.251 0.969 0.929
Zr 0.749 0.031 0.071
Zr 0.749 0.031 0.429
Zr 0.749 0.469 0.571
Zr 0.749 0.469 0.929
Al 0.300 0.603 0.750
Al 0.300 0.897 0.250
Al 0.700 0.103 0.750
Al 0.700 0.397 0.250
P 0.109 0.627 0.602
P 0.109 0.627 0.898
P 0.109 0.873 0.102
P 0.109 0.873 0.398
P 0.401 0.577 0.250
P 0.401 0.923 0.750
P 0.465 0.250 0.000
P 0.465 0.250 0.500
P 0.535 0.750 0.000
P 0.535 0.750 0.500
P 0.599 0.077 0.250
P 0.599 0.423 0.750
P 0.891 0.127 0.602
P 0.891 0.127 0.898
P 0.891 0.373 0.102
P 0.891 0.373 0.398
O 0.060 0.086 0.604
O 0.060 0.086 0.896
O 0.060 0.414 0.104
O 0.060 0.414 0.396
O 0.125 0.714 0.098
O 0.125 0.714 0.402
O 0.125 0.786 0.598
O 0.125 0.786 0.902
O 0.181 0.575 0.675
O 0.181 0.575 0.825
O 0.181 0.925 0.175
O 0.181 0.925 0.325
O 0.186 0.553 0.537
O 0.186 0.553 0.963
O 0.186 0.947 0.037
O 0.186 0.947 0.463
O 0.323 0.517 0.182
O 0.323 0.517 0.318
O 0.323 0.983 0.682
O 0.323 0.983 0.818
O 0.365 0.153 0.547
O 0.365 0.153 0.953
O 0.365 0.347 0.047
O 0.365 0.347 0.453
O 0.397 0.738 0.250
O 0.397 0.762 0.750
O 0.430 0.037 0.250
O 0.430 0.463 0.750
O 0.436 0.660 0.051
O 0.436 0.660 0.449
O 0.436 0.840 0.551
O 0.436 0.840 0.949
O 0.564 0.160 0.051
O 0.564 0.160 0.449
O 0.564 0.340 0.551
O 0.564 0.340 0.949
O 0.570 0.537 0.250
O 0.570 0.963 0.750
O 0.603 0.238 0.250
O 0.603 0.262 0.750
O 0.635 0.653 0.547
O 0.635 0.653 0.953
O 0.635 0.847 0.047
O 0.635 0.847 0.453
O 0.677 0.017 0.182
O 0.677 0.017 0.318
O 0.677 0.483 0.682
O 0.677 0.483 0.818
O 0.814 0.053 0.537
O 0.814 0.053 0.963
O 0.814 0.447 0.037
O 0.814 0.447 0.463
O 0.819 0.075 0.675
O 0.819 0.075 0.825
O 0.819 0.425 0.175
O 0.819 0.425 0.325
O 0.875 0.214 0.098
O 0.875 0.214 0.402
O 0.875 0.286 0.598
O 0.875 0.286 0.902
O 0.940 0.586 0.604
O 0.940 0.586 0.896
O 0.940 0.914 0.104
O 0.940 0.914 0.396

* energy: -187.65 eV/f.u.
* energy with MP2020 corrections: -8.2769 eV per atom
* space-group type: Pbcm
* formation enthalpy at 0 K: -3.17 eV/atom

Entry 6:
VASP calculation (GGA-PBE) on crystalline Ho2Co7 at its relaxed geometry.

Lattice parameters (Å, degrees): 12.314 12.314 12.314 23.07 23.07 23.07
Positions (direct):
Ho 0.053 0.053 0.053
Ho 0.149 0.149 0.149
Ho 0.851 0.851 0.851
Ho 0.947 0.947 0.947
Co 0.000 0.500 0.500
Co 0.109 0.610 0.610
Co 0.278 0.278 0.278
Co 0.389 0.389 0.389
Co 0.390 0.390 0.891
Co 0.390 0.891 0.390
Co 0.500 0.000 0.500
Co 0.500 0.500 0.000
Co 0.500 0.500 0.500
Co 0.610 0.109 0.610
Co 0.610 0.610 0.109
Co 0.611 0.611 0.611
Co 0.722 0.722 0.722
Co 0.891 0.390 0.390

* energy: -60.08 eV/f.u.
* space-group type: R-3m
* formation enthalpy at 0 K: -0.13 eV/atom

Repeat the sixth record exactly.
VASP calculation (GGA-PBE) on crystalline Ho2Co7 at its relaxed geometry.

Lattice parameters (Å, degrees): 12.314 12.314 12.314 23.07 23.07 23.07
Positions (direct):
Ho 0.053 0.053 0.053
Ho 0.149 0.149 0.149
Ho 0.851 0.851 0.851
Ho 0.947 0.947 0.947
Co 0.000 0.500 0.500
Co 0.109 0.610 0.610
Co 0.278 0.278 0.278
Co 0.389 0.389 0.389
Co 0.390 0.390 0.891
Co 0.390 0.891 0.390
Co 0.500 0.000 0.500
Co 0.500 0.500 0.000
Co 0.500 0.500 0.500
Co 0.610 0.109 0.610
Co 0.610 0.610 0.109
Co 0.611 0.611 0.611
Co 0.722 0.722 0.722
Co 0.891 0.390 0.390

* energy: -60.08 eV/f.u.
* space-group type: R-3m
* formation enthalpy at 0 K: -0.13 eV/atom

Among the records above, which one has the lowest formation enthalpy at 0 K? CsZr2AlP4O16